(1)
# BaV2Ni2O8

A geometry-optimized BaV2Ni2O8 structure (PBE with a Hubbard U, the Materials Project database).

**DFT total energy**: -6.676 eV/atom
**ρ**: 4.655 g/cm3
**Calculated formation energy**: -2.2717 eV/atom

Lattice parameters (Å, degrees): 8.2513 8.2513 8.2513 35.91 35.91 35.91
Closest atoms and distances in Å follow each position.
Sites, in units of the cell vectors:
Ba 0.0000 0.0000 0.0000  12 O 2.97-3.13
V 0.4258 0.4258 0.4258  4 O 1.70-1.77
V 0.5742 0.5742 0.5742  4 O 1.70-1.77
Ni 0.1694 0.1694 0.1694  6 O 2.08
Ni 0.8306 0.8306 0.8306  6 O 2.08
O 0.1221 0.4367 0.7857  1 V 1.77
O 0.2143 0.8779 0.5633  1 V 1.77
O 0.3525 0.3525 0.3525  1 V 1.70
O 0.4367 0.7857 0.1221  1 V 1.77
O 0.5633 0.2143 0.8779  1 V 1.77
O 0.6475 0.6475 0.6475  1 V 1.70
O 0.7857 0.1221 0.4367  1 V 1.77
O 0.8779 0.5633 0.2143  1 V 1.77



(2)
# Na2Co2Si8H72C24N4O

A geometry-optimized Na2Co2Si8H72C24N4O structure (PBE with a Hubbard U, the Materials Project database).

**DFT total energy**: -5.204 eV/atom
**ρ**: 1.071 g/cm3
**Calculated formation energy**: -0.2449 eV/atom

Lattice parameters (Å, degrees): 9.3300 11.1234 13.3529 96.86 108.72 99.36
Closest atoms and distances in Å follow each position.
Sites, in units of the cell vectors:
Na 0.0786 0.2109 0.0551  1 O 2.29
Na 0.9214 0.7891 0.9449  1 O 2.29
Co 0.1117 0.9815 0.1443  1 O 1.93, 2 N 2.03
Co 0.8883 0.0185 0.8557  1 O 1.93, 2 N 2.03
Si 0.0870 0.2457 0.7954  1 N 1.75, 3 C 1.88-1.89
Si 0.1833 0.2067 0.3412  1 N 1.75, 3 C 1.88-1.89
Si 0.2074 0.7176 0.1616  1 N 1.74, 3 C 1.88-1.90
Si 0.4363 0.1832 0.2487  1 N 1.75, 3 C 1.88-1.89
Si 0.5637 0.8168 0.7513  1 N 1.75, 3 C 1.88-1.89
Si 0.7926 0.2824 0.8384  1 N 1.74, 3 C 1.88-1.90
Si 0.8167 0.7933 0.6588  1 N 1.75, 3 C 1.88-1.89
Si 0.9130 0.7543 0.2046  1 N 1.75, 3 C 1.88-1.89
H 0.0087 0.6085 0.3293  1 C 1.10
H 0.0141 0.6773 0.7502  1 C 1.10
H 0.0460 0.5009 0.0855  1 C 1.10
H 0.0642 0.7465 0.6501  1 C 1.10
H 0.0647 0.7645 0.3994  1 C 1.10
H 0.0986 0.8392 0.7766  1 C 1.10
H 0.1131 0.1194 0.4874  1 C 1.10
H 0.1158 0.0430 0.7083  1 C 1.10
H 0.1255 0.5246 0.2289  1 C 1.10
H 0.1291 0.3195 0.6362  1 C 1.10
H 0.1355 0.0007 0.3949  1 C 1.09
H 0.1797 0.6715 0.9665  1 C 1.10
H 0.2071 0.4589 0.9110  1 C 1.09
H 0.2166 0.0724 0.8504  1 C 1.10
H 0.2458 0.5017 0.1519  1 C 1.10
H 0.2552 0.3858 0.4897  1 C 1.10
H 0.2837 0.8265 0.0259  1 C 1.10
H 0.2948 0.1513 0.7655  1 C 1.10
H 0.2991 0.3439 0.9715  1 C 1.10
H 0.3013 0.1019 0.4923  1 C 1.10
H 0.3043 0.4351 0.3812  1 C 1.10
H 0.3169 0.8602 0.6326  1 C 1.10
H 0.3401 0.3965 0.8620  1 C 1.10
H 0.3587 0.7613 0.3580  1 C 1.10
H 0.3647 0.6388 0.7494  1 C 1.10
H 0.3757 0.0892 0.0558  1 C 1.10
H 0.3756 0.7000 0.0506  1 C 1.10
H 0.3970 0.7682 0.5560  1 C 1.10
H 0.4218 0.8732 0.8714  1 C 1.10
H 0.4254 0.3554 0.4698  1 C 1.10
H 0.4394 0.8687 0.2919  1 C 1.10
H 0.4518 0.3754 0.1654  1 C 1.10
H 0.4631 0.9917 0.1433  1 C 1.10
H 0.4730 0.7155 0.2822  1 C 1.10
H 0.4761 0.9299 0.5984  1 C 1.10
H 0.4946 0.5839 0.6921  1 C 1.09
H 0.5054 0.4161 0.3079  1 C 1.09
H 0.5239 0.0701 0.4016  1 C 1.10
H 0.5270 0.2845 0.7178  1 C 1.10
H 0.5369 0.0083 0.8567  1 C 1.10
H 0.5482 0.6246 0.8346  1 C 1.10
H 0.5606 0.1313 0.7081  1 C 1.10
H 0.5746 0.6446 0.5302  1 C 1.10
H 0.5782 0.1268 0.1286  1 C 1.10
H 0.6030 0.2318 0.4440  1 C 1.10
H 0.6244 0.3000 0.9494  1 C 1.10
H 0.6243 0.9108 0.9442  1 C 1.10
H 0.6353 0.3612 0.2506  1 C 1.10
H 0.6413 0.2387 0.6420  1 C 1.10
H 0.6599 0.6035 0.1380  1 C 1.10
H 0.6831 0.1398 0.3674  1 C 1.10
H 0.6957 0.5649 0.6188  1 C 1.10
H 0.6987 0.8981 0.5077  1 C 1.10
H 0.7009 0.6561 0.0285  1 C 1.10
H 0.7052 0.8487 0.2345  1 C 1.10
H 0.7163 0.1735 0.9741  1 C 1.10
H 0.7448 0.6142 0.5103  1 C 1.10
H 0.7542 0.4983 0.8481  1 C 1.10
H 0.7834 0.9276 0.1496  1 C 1.10
H 0.7929 0.5411 0.0890  1 C 1.09
H 0.8203 0.3285 0.0335  1 C 1.10
H 0.8645 0.9993 0.6051  1 C 1.09
H 0.8709 0.6805 0.3638  1 C 1.10
H 0.8745 0.4754 0.7711  1 C 1.10
H 0.8842 0.9570 0.2917  1 C 1.10
H 0.8869 0.8806 0.5126  1 C 1.10
H 0.9014 0.1608 0.2234  1 C 1.10
H 0.9353 0.2355 0.6006  1 C 1.10
H 0.9358 0.2535 0.3499  1 C 1.10
H 0.9540 0.4991 0.9145  1 C 1.10
H 0.9859 0.3227 0.2498  1 C 1.10
H 0.9913 0.3915 0.6707  1 C 1.10
C 0.0174 0.7621 0.7153  3 H 1.10
C 0.0292 0.3035 0.6636  3 H 1.10
C 0.1489 0.5444 0.1563  3 H 1.10
C 0.1826 0.0965 0.4378  3 H 1.09-1.10
C 0.1863 0.1150 0.7780  3 H 1.10
C 0.2463 0.3735 0.8946  3 H 1.09-1.10
C 0.2662 0.7307 0.0399  3 H 1.10
C 0.3048 0.3599 0.4277  3 H 1.10
C 0.3865 0.7712 0.2849  3 H 1.10
C 0.4260 0.8466 0.6223  3 H 1.10
C 0.4648 0.0882 0.1332  3 H 1.10
C 0.4878 0.6501 0.7572  3 H 1.09-1.10
C 0.5122 0.3499 0.2428  3 H 1.09-1.10
C 0.5352 0.9118 0.8668  3 H 1.10
C 0.5740 0.1534 0.3777  3 H 1.10
C 0.6135 0.2288 0.7151  3 H 1.10
C 0.6952 0.6401 0.5723  3 H 1.10
C 0.7338 0.2693 0.9601  3 H 1.10
C 0.7537 0.6265 0.1054  3 H 1.09-1.10
C 0.8137 0.8850 0.2220  3 H 1.10
C 0.8174 0.9035 0.5622  3 H 1.09-1.10
C 0.8511 0.4556 0.8437  3 H 1.10
C 0.9708 0.6965 0.3364  3 H 1.10
C 0.9826 0.2379 0.2847  3 H 1.10
N 0.0639 0.8012 0.1578  2 Si 1.74-1.75
N 0.2408 0.1470 0.2361  2 Si 1.75
N 0.7592 0.8530 0.7639  2 Si 1.75
N 0.9361 0.1988 0.8422  2 Si 1.74-1.75
O 0.0000 0.0000 0.0000  2 Co 1.93



(3)
# Li2Si4NiO10

A geometry-optimized Li2Si4NiO10 structure (PBE with a Hubbard U, the Materials Project database).

**Polymorph energy (0 for the lowest one)**: 23 meV per atom
**DFT total energy**: -7.008 eV/atom
**ρ**: 2.421 g/cm3
**Calculated formation energy**: -2.8098 eV/atom

Lattice parameters (Å, degrees): 7.0174 9.4877 14.2112 90.00 90.00 90.00
Closest atoms and distances in Å follow each position.
Sites, in units of the cell vectors:
Li 0.0637 0.1569 0.0387  2 O 1.90-1.95
Li 0.1577 0.4111 0.6693  2 O 1.96-1.98
Li 0.3423 0.5889 0.1693  2 O 1.96-1.98
Li 0.4363 0.8431 0.5387  2 O 1.90-1.95
Li 0.5637 0.3431 0.9613  2 O 1.90-1.95
Li 0.6577 0.0889 0.3307  2 O 1.96-1.98
Li 0.8423 0.9111 0.8307  2 O 1.96-1.98
Li 0.9363 0.6569 0.4613  2 O 1.90-1.95
Si 0.0357 0.9711 0.5666  4 O 1.62-1.66
Si 0.1859 0.9027 0.2168  4 O 1.62-1.66
Si 0.2403 0.3648 0.3230  4 O 1.61-1.65
Si 0.2446 0.0622 0.3988  4 O 1.62-1.64
Si 0.2554 0.9378 0.8988  4 O 1.62-1.64
Si 0.2597 0.6352 0.8230  4 O 1.61-1.65
Si 0.3141 0.0973 0.7168  4 O 1.62-1.66
Si 0.4643 0.0289 0.0666  4 O 1.62-1.66
Si 0.5357 0.5289 0.4334  4 O 1.62-1.66
Si 0.6859 0.5973 0.7832  4 O 1.62-1.66
Si 0.7403 0.1352 0.6770  4 O 1.61-1.65
Si 0.7446 0.4378 0.6012  4 O 1.62-1.64
Si 0.7554 0.5622 0.1012  4 O 1.62-1.64
Si 0.7597 0.8648 0.1770  4 O 1.61-1.65
Si 0.8141 0.4027 0.2832  4 O 1.62-1.66
Si 0.9643 0.4711 0.9334  4 O 1.62-1.66
Ni 0.0078 0.1979 0.8484  4 O 1.94-2.00
Ni 0.4922 0.8021 0.3484  4 O 1.94-2.00
Ni 0.5078 0.3021 0.1516  4 O 1.94-2.00
Ni 0.9922 0.6979 0.6516  4 O 1.94-2.00
O 0.0093 0.3633 0.3398  2 Si 1.63-1.64
O 0.0388 0.8080 0.5334  1 Si 1.62
O 0.0734 0.0324 0.9294  1 Si 1.62
O 0.0904 0.0848 0.4843  2 Si 1.64
O 0.1250 0.9893 0.3121  2 Si 1.64
O 0.1751 0.5103 0.8923  2 Si 1.63-1.65
O 0.1749 0.7852 0.8630  2 Si 1.64
O 0.1855 0.2338 0.7410  1 Si 1.62
O 0.2012 0.6033 0.7154  1 Si 1.61
O 0.2024 0.9803 0.6493  2 Si 1.66
O 0.2976 0.0197 0.1493  2 Si 1.66
O 0.2988 0.3967 0.2154  1 Si 1.61
O 0.3145 0.7662 0.2410  1 Si 1.62
O 0.3251 0.2148 0.3630  2 Si 1.64
O 0.3249 0.4897 0.3923  2 Si 1.63-1.65
O 0.3750 0.0107 0.8121  2 Si 1.64
O 0.4096 0.9152 0.9843  2 Si 1.64
O 0.4266 0.9676 0.4294  1 Si 1.62
O 0.4612 0.1920 0.0334  1 Si 1.62
O 0.4907 0.6367 0.8398  2 Si 1.63-1.64
O 0.5093 0.1367 0.6602  2 Si 1.63-1.64
O 0.5388 0.6920 0.4666  1 Si 1.62
O 0.5734 0.4676 0.0706  1 Si 1.62
O 0.5904 0.4152 0.5157  2 Si 1.64
O 0.6250 0.5107 0.6879  2 Si 1.64
O 0.6749 0.7148 0.1370  2 Si 1.64
O 0.6751 0.9897 0.1077  2 Si 1.63-1.65
O 0.6855 0.2662 0.2590  1 Si 1.62
O 0.7012 0.8967 0.2846  1 Si 1.61
O 0.7024 0.5197 0.3507  2 Si 1.66
O 0.7976 0.4803 0.8507  2 Si 1.66
O 0.7988 0.1033 0.7846  1 Si 1.61
O 0.8145 0.7338 0.7590  1 Si 1.62
O 0.8249 0.0103 0.6077  2 Si 1.63-1.65
O 0.8251 0.2852 0.6370  2 Si 1.64
O 0.8750 0.4893 0.1879  2 Si 1.64
O 0.9096 0.5848 0.0157  2 Si 1.64
O 0.9266 0.5324 0.5706  1 Si 1.62
O 0.9612 0.3080 0.9666  1 Si 1.62
O 0.9907 0.8633 0.1602  2 Si 1.63-1.64



(4)
# Ba2LiSmCoCu2O7

A geometry-optimized Ba2LiSmCoCu2O7 structure (PBE with a Hubbard U, the Materials Project database).

**Polymorph energy (0 for the lowest one)**: 0 meV per atom
**DFT total energy**: -5.965 eV/atom
**ρ**: 5.543 g/cm3
**Calculated formation energy**: -2.1111 eV/atom

Lattice parameters (Å, degrees): 3.8398 3.9998 14.2385 90.00 90.00 90.00
Closest atoms and distances in Å follow each position.
Sites, in units of the cell vectors:
Ba 0.0000 0.0000 0.0000  8 O 2.80-3.01
Ba 0.0000 0.0000 0.2873  6 O 2.69-2.77
Li 0.0000 0.0000 0.5562  4 O 2.10-2.15
Sm 0.0000 0.0000 0.7401  6 O 2.36-2.61, 1 Li 2.62
Co 0.5000 0.5000 0.1536  4 O 1.81-2.00
Cu 0.5000 0.5000 0.6084  4 O 1.92-2.00
Cu 0.5000 0.5000 0.8478  4 O 1.94-2.01
O 0.0000 0.5000 0.6112  2 Cu 1.92, 2 Li 2.15
O 0.0000 0.5000 0.8303  2 Cu 1.94
O 0.5000 0.0000 0.1551  2 Co 2.00
O 0.5000 0.0000 0.6163  2 Cu 2.00, 2 Li 2.10
O 0.5000 0.0000 0.8370  2 Cu 2.01
O 0.5000 0.5000 0.0261  1 Co 1.81
O 0.5000 0.5000 0.2849  1 Co 1.87